Record 1
A plane-wave DFT calculation with PBE was carried out for CeCl3 after structural relaxation.

a = 7.6247 Å, b = 7.6247 Å, c = 4.2366 Å
α = 90.00°, β = 90.00°, γ = 120.00°
Space group P6_3/m (No. 176)
Asymmetric unit:
Ce  0.3333  0.6667  0.2500 x2
Cl  0.0878  0.3926  0.7500 x6

ΔE_f: -2.7068 eV per atom



Record 2
A plane-wave DFT calculation with PBE was carried out for Cs3CeCl6 after structural relaxation.

a = 12.080 Å, b = 12.080 Å, c = 12.080 Å
α = 90.00°, β = 90.00°, γ = 90.00°
Space group Fm-3m (No. 225)
Asymmetric unit:
Cs  0.000  0.000  0.000 x4
Cs  0.250  0.250  0.250 x8
Ce  0.000  0.000  0.500 x4
Cl  0.000  0.000  0.272 x24

ΔE_f: -2.4463 eV per atom



Record 3
A plane-wave DFT calculation with PBE was carried out for Cs2CeCl6 after structural relaxation.

a = 7.7714 Å, b = 7.7714 Å, c = 6.1760 Å
α = 90.00°, β = 90.00°, γ = 120.00°
Space group P-3m1 (No. 164)
Asymmetric unit:
Cs  0.3333  0.6667  0.2532 x2
Ce  0.0000  0.0000  0.0000 x1
Cl  0.1635  0.3270  0.7631 x6

ΔE_f: -2.4565 eV per atom



Record 4
A plane-wave DFT calculation with PBE was carried out for Cs2CeCuCl6 after structural relaxation.

a = 10.709 Å, b = 10.709 Å, c = 10.709 Å
α = 90.00°, β = 90.00°, γ = 90.00°
Space group Fm-3m (No. 225)
Asymmetric unit:
Cs  0.250  0.250  0.250 x8
Ce  0.000  0.000  0.000 x4
Cu  0.000  0.000  0.500 x4
Cl  0.000  0.000  0.258 x24

ΔE_f: -2.1366 eV per atom



Record 5
A plane-wave DFT calculation with PBE was carried out for Cs2NaCeCl6 after structural relaxation.

a = 11.112 Å, b = 11.112 Å, c = 11.112 Å
α = 90.00°, β = 90.00°, γ = 90.00°
Space group Fm-3m (No. 225)
Asymmetric unit:
Cs  0.250  0.250  0.250 x8
Na  0.000  0.000  0.000 x4
Ce  0.000  0.000  0.500 x4
Cl  0.000  0.000  0.252 x24

ΔE_f: -2.4665 eV per atom



Record 6
A plane-wave DFT calculation with PBE was carried out for K2CeCuCl6 after structural relaxation.

a = 10.547 Å, b = 10.547 Å, c = 10.547 Å
α = 90.00°, β = 90.00°, γ = 90.00°
Space group Fm-3m (No. 225)
Asymmetric unit:
K  0.250  0.250  0.250 x8
Ce  0.000  0.000  0.000 x4
Cu  0.000  0.000  0.500 x4
Cl  0.000  0.000  0.260 x24

ΔE_f: -2.0731 eV per atom